Entry 1:
MgMn3V2O10 after structural relaxation. Source: the Materials Project, functional PBE+U.

Output
Energy of formation: -2.207 eV/atom
Offset from the most stable computed form: 44.6 meV per atom
Symmetry: P1
Calculated volume: 192.50 Å³/cell

abc: 5.277 5.436 7.522
angles: 108.28 100.23 102.85
Sites, in units of the cell vectors:
Mg (0.000, 0.000, 0.000)
Mn (0.280, 0.644, 0.172)
Mn (0.581, 0.260, 0.291)
Mn (0.888, 0.859, 0.376)
V (0.484, 0.004, 0.602)
V (0.676, 0.457, 0.956)
O (0.031, 0.628, 0.949)
O (0.154, 0.883, 0.607)
O (0.263, 0.011, 0.308)
O (0.353, 0.298, 0.062)
O (0.492, 0.377, 0.717)
O (0.512, 0.680, 0.426)
O (0.678, 0.826, 0.117)
O (0.699, 0.060, 0.829)
O (0.780, 0.173, 0.492)
O (0.884, 0.470, 0.226)

Entry 2:
LiP3W2O12 after structural relaxation. Source: the Materials Project, functional PBE+U.

Output
Energy of formation: -2.530 eV/atom
Offset from the most stable computed form: 1.2 meV per atom
Symmetry: P2_1/c
Calculated volume: 960.64 Å³/cell

abc: 8.677 8.990 14.952
angles: 90.00 124.55 90.00
Sites, in units of the cell vectors:
Li (0.012, 0.219, 0.324)
Li (0.012, 0.281, 0.824)
Li (0.988, 0.719, 0.176)
Li (0.988, 0.781, 0.676)
P (0.033, 0.110, 0.644)
P (0.033, 0.390, 0.144)
P (0.252, 0.618, 0.648)
P (0.252, 0.882, 0.148)
P (0.458, 0.249, 0.492)
P (0.458, 0.251, 0.992)
P (0.542, 0.749, 0.008)
P (0.542, 0.751, 0.508)
P (0.748, 0.118, 0.852)
P (0.748, 0.382, 0.352)
P (0.967, 0.610, 0.856)
P (0.967, 0.890, 0.356)
W (0.142, 0.538, 0.386)
W (0.142, 0.962, 0.886)
W (0.370, 0.532, 0.118)
W (0.370, 0.968, 0.618)
W (0.630, 0.032, 0.382)
W (0.630, 0.468, 0.882)
W (0.858, 0.038, 0.114)
W (0.858, 0.462, 0.614)
O (0.011, 0.238, 0.184)
O (0.011, 0.262, 0.684)
O (0.079, 0.511, 0.231)
O (0.079, 0.989, 0.731)
O (0.096, 0.584, 0.667)
O (0.096, 0.916, 0.167)
O (0.153, 0.564, 0.960)
O (0.153, 0.936, 0.460)
O (0.180, 0.575, 0.531)
O (0.180, 0.925, 0.031)
O (0.191, 0.115, 0.625)
O (0.191, 0.385, 0.125)
O (0.261, 0.178, 0.932)
O (0.261, 0.322, 0.432)
O (0.282, 0.714, 0.167)
O (0.282, 0.786, 0.667)
O (0.390, 0.632, 0.441)
O (0.390, 0.868, 0.941)
O (0.427, 0.523, 0.726)
O (0.427, 0.977, 0.226)
O (0.477, 0.132, 0.571)
O (0.477, 0.368, 0.071)
O (0.480, 0.185, 0.404)
O (0.480, 0.315, 0.904)
O (0.520, 0.685, 0.096)
O (0.520, 0.815, 0.596)
O (0.523, 0.632, 0.929)
O (0.523, 0.868, 0.429)
O (0.573, 0.023, 0.774)
O (0.573, 0.477, 0.274)
O (0.610, 0.132, 0.059)
O (0.610, 0.368, 0.559)
O (0.718, 0.214, 0.333)
O (0.718, 0.286, 0.833)
O (0.739, 0.678, 0.568)
O (0.739, 0.822, 0.068)
O (0.809, 0.615, 0.875)
O (0.809, 0.885, 0.375)
O (0.820, 0.075, 0.969)
O (0.820, 0.425, 0.469)
O (0.847, 0.064, 0.540)
O (0.847, 0.436, 0.040)
O (0.904, 0.084, 0.833)
O (0.904, 0.416, 0.333)
O (0.921, 0.011, 0.269)
O (0.921, 0.489, 0.769)
O (0.989, 0.738, 0.316)
O (0.989, 0.762, 0.816)

Entry 3:
Ca3Mn2O7 after structural relaxation. Source: the Materials Project, functional PBE+U.

Output
Energy of formation: -2.607 eV/atom
Offset from the most stable computed form: 40.7 meV per atom
Symmetry: I4/mmm
Calculated volume: 138.81 Å³/cell

abc: 10.047 10.047 10.047
angles: 158.28 158.28 30.91
Sites, in units of the cell vectors:
Ca (0.000, 0.000, 0.000)
Ca (0.184, 0.184, 0.000)
Ca (0.816, 0.816, 0.000)
Mn (0.400, 0.400, 0.000)
Mn (0.600, 0.600, 0.000)
O (0.098, 0.598, 0.500)
O (0.302, 0.302, 0.000)
O (0.402, 0.902, 0.500)
O (0.500, 0.500, 0.000)
O (0.598, 0.098, 0.500)
O (0.698, 0.698, 0.000)
O (0.902, 0.402, 0.500)

Entry 4:
Ge3W2O12 after structural relaxation. Source: the Materials Project, functional PBE+U.

Output
Energy of formation: -2.027 eV/atom
Symmetry: Ia-3d
Calculated volume: 949.05 Å³/cell

abc: 10.723 10.723 10.723
angles: 109.47 109.47 109.47
Sites, in units of the cell vectors:
Ge (0.125, 0.750, 0.875)
Ge (0.125, 0.875, 0.250)
Ge (0.250, 0.125, 0.875)
Ge (0.250, 0.625, 0.375)
Ge (0.375, 0.250, 0.625)
Ge (0.375, 0.625, 0.750)
Ge (0.625, 0.375, 0.250)
Ge (0.625, 0.750, 0.375)
Ge (0.750, 0.375, 0.625)
Ge (0.750, 0.875, 0.125)
Ge (0.875, 0.125, 0.750)
Ge (0.875, 0.250, 0.125)
W (0.000, 0.000, 0.000)
W (0.000, 0.000, 0.500)
W (0.000, 0.500, 0.000)
W (0.000, 0.500, 0.500)
W (0.500, 0.000, 0.000)
W (0.500, 0.000, 0.500)
W (0.500, 0.500, 0.000)
W (0.500, 0.500, 0.500)
O (0.005, 0.189, 0.109)
O (0.005, 0.316, 0.896)
O (0.080, 0.689, 0.684)
O (0.080, 0.891, 0.396)
O (0.104, 0.609, 0.420)
O (0.104, 0.995, 0.684)
O (0.109, 0.005, 0.189)
O (0.109, 0.604, 0.920)
O (0.184, 0.189, 0.580)
O (0.184, 0.495, 0.604)
O (0.189, 0.109, 0.005)
O (0.189, 0.580, 0.184)
O (0.311, 0.316, 0.920)
O (0.311, 0.495, 0.391)
O (0.316, 0.896, 0.005)
O (0.316, 0.920, 0.311)
O (0.391, 0.311, 0.495)
O (0.391, 0.580, 0.896)
O (0.396, 0.080, 0.891)
O (0.396, 0.816, 0.505)
O (0.420, 0.104, 0.609)
O (0.420, 0.816, 0.811)
O (0.495, 0.391, 0.311)
O (0.495, 0.604, 0.184)
O (0.505, 0.396, 0.816)
O (0.505, 0.609, 0.689)
O (0.580, 0.184, 0.189)
O (0.580, 0.896, 0.391)
O (0.604, 0.184, 0.495)
O (0.604, 0.920, 0.109)
O (0.609, 0.420, 0.104)
O (0.609, 0.689, 0.505)
O (0.684, 0.080, 0.689)
O (0.684, 0.104, 0.995)
O (0.689, 0.505, 0.609)
O (0.689, 0.684, 0.080)
O (0.811, 0.420, 0.816)
O (0.811, 0.891, 0.995)
O (0.816, 0.505, 0.396)
O (0.816, 0.811, 0.420)
O (0.891, 0.396, 0.080)
O (0.891, 0.995, 0.811)
O (0.896, 0.005, 0.316)
O (0.896, 0.391, 0.580)
O (0.920, 0.109, 0.604)
O (0.920, 0.311, 0.316)
O (0.995, 0.684, 0.104)
O (0.995, 0.811, 0.891)

Entry 5:
Mg14TiVO16 after structural relaxation. Source: the Materials Project, functional PBE+U.

Output
Energy of formation: -2.926 eV/atom
Symmetry: P4/mmm
Calculated volume: 313.92 Å³/cell

abc: 8.575 8.575 4.270
angles: 90.00 90.00 90.00
Sites, in units of the cell vectors:
Mg (0.000, 0.250, 0.000)
Mg (0.000, 0.500, 0.500)
Mg (0.000, 0.750, 0.000)
Mg (0.247, 0.500, 0.000)
Mg (0.250, 0.000, 0.000)
Mg (0.250, 0.250, 0.500)
Mg (0.250, 0.750, 0.500)
Mg (0.500, 0.000, 0.500)
Mg (0.500, 0.247, 0.000)
Mg (0.500, 0.753, 0.000)
Mg (0.750, 0.000, 0.000)
Mg (0.750, 0.250, 0.500)
Mg (0.750, 0.750, 0.500)
Mg (0.753, 0.500, 0.000)
Ti (0.500, 0.500, 0.500)
V (0.000, 0.000, 0.500)
O (0.000, 0.000, 0.000)
O (0.000, 0.254, 0.500)
O (0.000, 0.500, 0.000)
O (0.000, 0.746, 0.500)
O (0.243, 0.500, 0.500)
O (0.250, 0.250, 0.000)
O (0.250, 0.750, 0.000)
O (0.254, 0.000, 0.500)
O (0.500, 0.000, 0.000)
O (0.500, 0.243, 0.500)
O (0.500, 0.500, 0.000)
O (0.500, 0.757, 0.500)
O (0.746, 0.000, 0.500)
O (0.750, 0.250, 0.000)
O (0.750, 0.750, 0.000)
O (0.757, 0.500, 0.500)

Entry 6:
Li3FeF5 after structural relaxation. Source: the Materials Project, functional PBE+U.

Output
Energy of formation: -2.872 eV/atom
Offset from the most stable computed form: 49.0 meV per atom
Symmetry: P4_1
Calculated volume: 366.93 Å³/cell

abc: 5.758 5.758 11.066
angles: 90.00 90.00 90.00
Sites, in units of the cell vectors:
Li (0.015, 0.169, 0.000)
Li (0.086, 0.325, 0.525)
Li (0.169, 0.985, 0.750)
Li (0.211, 0.442, 0.290)
Li (0.325, 0.914, 0.275)
Li (0.442, 0.789, 0.040)
Li (0.558, 0.211, 0.540)
Li (0.675, 0.086, 0.775)
Li (0.789, 0.558, 0.790)
Li (0.831, 0.015, 0.250)
Li (0.914, 0.675, 0.025)
Li (0.985, 0.831, 0.500)
Fe (0.287, 0.491, 0.822)
Fe (0.491, 0.713, 0.572)
Fe (0.509, 0.287, 0.072)
Fe (0.713, 0.509, 0.322)
F (0.013, 0.774, 0.855)
F (0.026, 0.745, 0.322)
F (0.158, 0.578, 0.648)
F (0.201, 0.484, 0.009)
F (0.226, 0.013, 0.105)
F (0.255, 0.026, 0.572)
F (0.374, 0.442, 0.448)
F (0.422, 0.158, 0.898)
F (0.442, 0.626, 0.198)
F (0.484, 0.799, 0.759)
F (0.516, 0.201, 0.259)
F (0.558, 0.374, 0.698)
F (0.578, 0.842, 0.398)
F (0.626, 0.558, 0.948)
F (0.745, 0.974, 0.072)
F (0.774, 0.987, 0.605)
F (0.799, 0.516, 0.509)
F (0.842, 0.422, 0.148)
F (0.974, 0.255, 0.822)
F (0.987, 0.226, 0.355)

Entry 7:
SrCaEuWO6 after structural relaxation. Source: the Materials Project, functional PBE+U.

Output
Energy of formation: -2.947 eV/atom
Symmetry: F-43m
Calculated volume: 146.50 Å³/cell

abc: 5.917 5.917 5.917
angles: 60.00 60.00 60.00
Sites, in units of the cell vectors:
Sr (0.000, 0.000, 0.000)
Ca (0.250, 0.250, 0.250)
Eu (0.500, 0.500, 0.500)
W (0.750, 0.750, 0.750)
O (0.518, 0.518, 0.982)
O (0.518, 0.982, 0.518)
O (0.518, 0.982, 0.982)
O (0.982, 0.518, 0.518)
O (0.982, 0.518, 0.982)
O (0.982, 0.982, 0.518)

Entry 8:
Li3FeP2O8 after structural relaxation. Source: the Materials Project, functional PBE+U.

Output
Energy of formation: -2.513 eV/atom
Offset from the most stable computed form: 49.0 meV per atom
Symmetry: P2_1/c
Calculated volume: 1266.99 Å³/cell

abc: 8.583 9.924 16.483
angles: 90.00 115.53 90.00
Sites, in units of the cell vectors:
Li (0.023, 0.095, 0.450)
Li (0.023, 0.405, 0.950)
Li (0.029, 0.625, 0.751)
Li (0.029, 0.875, 0.251)
Li (0.248, 0.081, 0.000)
Li (0.248, 0.419, 0.500)
Li (0.280, 0.584, 0.990)
Li (0.280, 0.916, 0.490)
Li (0.378, 0.611, 0.792)
Li (0.378, 0.889, 0.292)
Li (0.395, 0.617, 0.222)
Li (0.395, 0.883, 0.722)
Li (0.605, 0.117, 0.278)
Li (0.605, 0.383, 0.778)
Li (0.622, 0.111, 0.708)
Li (0.622, 0.389, 0.208)
Li (0.720, 0.084, 0.510)
Li (0.720, 0.416, 0.010)
Li (0.752, 0.581, 0.500)
Li (0.752, 0.919, 0.000)
Li (0.971, 0.125, 0.749)
Li (0.971, 0.375, 0.249)
Li (0.977, 0.595, 0.050)
Li (0.977, 0.905, 0.550)
Fe (0.033, 0.133, 0.121)
Fe (0.033, 0.367, 0.621)
Fe (0.434, 0.121, 0.862)
Fe (0.434, 0.379, 0.362)
Fe (0.566, 0.621, 0.638)
Fe (0.566, 0.879, 0.138)
Fe (0.967, 0.633, 0.379)
Fe (0.967, 0.867, 0.879)
P (0.171, 0.662, 0.600)
P (0.171, 0.838, 0.100)
P (0.221, 0.147, 0.639)
P (0.221, 0.353, 0.139)
P (0.253, 0.145, 0.342)
P (0.253, 0.355, 0.842)
P (0.371, 0.664, 0.415)
P (0.371, 0.836, 0.915)
P (0.629, 0.164, 0.085)
P (0.629, 0.336, 0.585)
P (0.747, 0.645, 0.158)
P (0.747, 0.855, 0.658)
P (0.779, 0.647, 0.861)
P (0.779, 0.853, 0.361)
P (0.829, 0.162, 0.900)
P (0.829, 0.338, 0.400)
O (0.023, 0.558, 0.583)
O (0.023, 0.942, 0.083)
O (0.062, 0.169, 0.660)
O (0.062, 0.331, 0.160)
O (0.108, 0.737, 0.022)
O (0.108, 0.763, 0.522)
O (0.150, 0.066, 0.251)
O (0.150, 0.434, 0.751)
O (0.184, 0.030, 0.573)
O (0.184, 0.470, 0.073)
O (0.200, 0.202, 0.834)
O (0.200, 0.298, 0.334)
O (0.208, 0.598, 0.416)
O (0.208, 0.902, 0.916)
O (0.217, 0.077, 0.415)
O (0.217, 0.423, 0.915)
O (0.223, 0.731, 0.692)
O (0.223, 0.769, 0.192)
O (0.237, 0.210, 0.102)
O (0.237, 0.290, 0.602)
O (0.326, 0.578, 0.603)
O (0.326, 0.922, 0.103)
O (0.342, 0.687, 0.891)
O (0.342, 0.813, 0.391)
O (0.392, 0.113, 0.724)
O (0.392, 0.387, 0.224)
O (0.401, 0.579, 0.342)
O (0.401, 0.921, 0.842)
O (0.448, 0.152, 0.358)
O (0.448, 0.348, 0.858)
O (0.471, 0.141, 0.993)
O (0.471, 0.359, 0.493)
O (0.529, 0.641, 0.507)
O (0.529, 0.859, 0.007)
O (0.552, 0.652, 0.142)
O (0.552, 0.848, 0.642)
O (0.599, 0.079, 0.158)
O (0.599, 0.421, 0.658)
O (0.608, 0.613, 0.776)
O (0.608, 0.887, 0.276)
O (0.658, 0.187, 0.609)
O (0.658, 0.313, 0.109)
O (0.674, 0.078, 0.897)
O (0.674, 0.422, 0.397)
O (0.763, 0.710, 0.398)
O (0.763, 0.790, 0.898)
O (0.777, 0.231, 0.808)
O (0.777, 0.269, 0.308)
O (0.783, 0.577, 0.085)
O (0.783, 0.923, 0.585)
O (0.792, 0.098, 0.084)
O (0.792, 0.402, 0.584)
O (0.800, 0.702, 0.666)
O (0.800, 0.798, 0.166)
O (0.816, 0.530, 0.927)
O (0.816, 0.970, 0.427)
O (0.850, 0.566, 0.249)
O (0.850, 0.934, 0.749)
O (0.892, 0.237, 0.478)
O (0.892, 0.263, 0.978)
O (0.938, 0.669, 0.840)
O (0.938, 0.831, 0.340)
O (0.977, 0.058, 0.917)
O (0.977, 0.442, 0.417)

Entry 9:
NiBrO after structural relaxation. Source: the Materials Project, functional PBE+U.

Output
Energy of formation: -0.170 eV/atom
Symmetry: P4/mmm
Calculated volume: 49.99 Å³/cell

abc: 2.740 2.740 6.657
angles: 90.00 90.00 90.00
Sites, in units of the cell vectors:
Ni (0.000, 0.000, 0.000)
Br (0.000, 0.000, 0.500)
O (0.500, 0.500, 0.000)

| no. | energy with MP2020 corrections (eV/atom) |
| --- | --- |
| 1 | -8.253 |
| 2 | -8.277 |
| 3 | -7.521 |
| 4 | -7.860 |
| 5 | -6.631 |
| 6 | -5.513 |
| 7 | -8.607 |
| 8 | -7.128 |
| 9 | -4.292 |